No. 1
A relaxed structure of Y3Ge2Rh2, computed with PBE.

Cell: 5.6153 7.8842 13.2379 Å, 90.00 90.00 90.00°
Closest atoms and distances in Å follow each position.
Fractional positions:
Y 0.6315 0.2519 0.2500  5 Ge 3.03-3.31, 4 Rh 3.04-3.06
Y 0.3685 0.7481 0.7500  5 Ge 3.03-3.31, 4 Rh 3.04-3.06
Y 0.3685 0.7519 0.2500  5 Ge 3.03-3.31, 4 Rh 3.04-3.06
Y 0.6315 0.2481 0.7500  5 Ge 3.03-3.31, 4 Rh 3.04-3.06
Y 0.1445 0.3934 0.1012  4 Rh 2.93-3.13, 3 Ge 2.99-3.26
Y 0.8555 0.6066 0.8988  4 Rh 2.93-3.13, 3 Ge 2.99-3.26
Y 0.8555 0.6066 0.6012  4 Rh 2.93-3.13, 3 Ge 2.99-3.26
Y 0.8555 0.8934 0.3988  4 Rh 2.93-3.13, 3 Ge 2.99-3.26
Y 0.1445 0.3934 0.3988  4 Rh 2.93-3.13, 3 Ge 2.99-3.26
Y 0.1445 0.1066 0.6012  4 Rh 2.93-3.13, 3 Ge 2.99-3.26
Y 0.1445 0.1066 0.8988  4 Rh 2.93-3.13, 3 Ge 2.99-3.26
Y 0.8555 0.8934 0.1012  4 Rh 2.93-3.13, 3 Ge 2.99-3.26
Ge 0.1314 0.1075 0.2500  2 Rh 2.54
Ge 0.8686 0.8925 0.7500  2 Rh 2.54
Ge 0.8686 0.6075 0.2500  2 Rh 2.54
Ge 0.1314 0.3925 0.7500  2 Rh 2.54
Ge 0.6543 0.2500 0.0000  4 Rh 2.59-2.61
Ge 0.3457 0.7500 0.0000  4 Rh 2.59-2.61
Ge 0.3457 0.7500 0.5000  4 Rh 2.59-2.61
Ge 0.6543 0.2500 0.5000  4 Rh 2.59-2.61
Rh 0.3736 0.0380 0.0932  3 Ge 2.54-2.61
Rh 0.6264 0.9620 0.9068  3 Ge 2.54-2.61
Rh 0.6264 0.9620 0.5932  3 Ge 2.54-2.61
Rh 0.6264 0.5380 0.4068  3 Ge 2.54-2.61
Rh 0.3736 0.0380 0.4068  3 Ge 2.54-2.61
Rh 0.3736 0.4620 0.5932  3 Ge 2.54-2.61
Rh 0.3736 0.4620 0.9068  3 Ge 2.54-2.61
Rh 0.6264 0.5380 0.0932  3 Ge 2.54-2.61

## Properties
* total DFT energy (no corrections): -199.46 eV/cell
* symmetry: Pbcm

***

No. 2
A relaxed structure of ZrGeRh, computed with PBE.

Cell: 4.0347 6.6657 7.6340 Å, 90.00 90.00 90.00°
Closest atoms and distances in Å follow each position.
Fractional positions:
Zr 0.2500 0.0222 0.8125  5 Ge 2.84-2.87, 6 Rh 2.98-3.15
Zr 0.2500 0.5222 0.6875  5 Ge 2.84-2.87, 6 Rh 2.98-3.15
Zr 0.7500 0.9778 0.1875  5 Ge 2.84-2.87, 6 Rh 2.98-3.15
Zr 0.7500 0.4778 0.3125  5 Ge 2.84-2.87, 6 Rh 2.98-3.15
Ge 0.2500 0.7680 0.3795  4 Rh 2.52-2.56
Ge 0.2500 0.2680 0.1205  4 Rh 2.52-2.56
Ge 0.7500 0.2320 0.6205  4 Rh 2.52-2.56
Ge 0.7500 0.7320 0.8795  4 Rh 2.52-2.56
Rh 0.2500 0.1468 0.4378  4 Ge 2.52-2.56
Rh 0.2500 0.6468 0.0622  4 Ge 2.52-2.56
Rh 0.7500 0.8532 0.5622  4 Ge 2.52-2.56
Rh 0.7500 0.3532 0.9378  4 Ge 2.52-2.56

## Properties
* total DFT energy (no corrections): -93.33 eV/cell
* symmetry: Pnma

***

No. 3
A relaxed structure of ZrGe2Rh, computed with PBE.

Cell: 8.0891 9.4168 10.5855 Å, 90.00 90.00 90.00°
Closest atoms and distances in Å follow each position.
Fractional positions:
Zr 0.7586 0.3285 0.0484  8 Ge 2.77-3.06
Zr 0.7586 0.8285 0.4516  8 Ge 2.77-3.06
Zr 0.7586 0.6715 0.9516  8 Ge 2.77-3.06
Zr 0.0000 0.6656 0.6791  7 Ge 2.82-3.01, 2 Rh 3.11
Zr 0.2414 0.8285 0.4516  8 Ge 2.77-3.06
Zr 0.2414 0.3285 0.0484  8 Ge 2.77-3.06
Zr 0.0000 0.1656 0.8209  7 Ge 2.82-3.01, 2 Rh 3.11
Zr 0.2414 0.6715 0.9516  8 Ge 2.77-3.06
Zr 0.2414 0.1715 0.5484  8 Ge 2.77-3.06
Zr 0.7586 0.1715 0.5484  8 Ge 2.77-3.06
Zr 0.0000 0.8344 0.1791  7 Ge 2.82-3.01, 2 Rh 3.11
Zr 0.0000 0.3344 0.3209  7 Ge 2.82-3.01, 2 Rh 3.11
Ge 0.3482 0.6569 0.6826  1 Ge 2.46, 3 Rh 2.55-2.61
Ge 0.5000 0.9477 0.6096  2 Rh 2.50, 1 Ge 2.52
Ge 0.0000 0.0381 0.3845  2 Rh 2.51, 1 Ge 2.55
Ge 0.3482 0.3431 0.3174  1 Ge 2.46, 3 Rh 2.55-2.61
Ge 0.0000 0.5381 0.1155  2 Rh 2.51, 1 Ge 2.55
Ge 0.0000 0.4619 0.8845  2 Rh 2.51, 1 Ge 2.55
Ge 0.5000 0.8610 0.9009  4 Rh 2.61-2.64, 2 Zr 2.80
Ge 0.6518 0.3431 0.3174  1 Ge 2.46, 3 Rh 2.55-2.61
Ge 0.6518 0.8431 0.1826  1 Ge 2.46, 3 Rh 2.55-2.61
Ge 0.0000 0.9619 0.6155  2 Rh 2.51, 1 Ge 2.55
Ge 0.0000 0.6286 0.3971  4 Rh 2.61-2.62, 3 Zr 2.77-2.89
Ge 0.5000 0.0523 0.3904  2 Rh 2.50, 1 Ge 2.52
Ge 0.5000 0.3610 0.5991  4 Rh 2.61-2.64, 2 Zr 2.80
Ge 0.5000 0.1390 0.0991  4 Rh 2.61-2.64, 2 Zr 2.80
Ge 0.5000 0.5523 0.1096  2 Rh 2.50, 1 Ge 2.52
Ge 0.6518 0.6569 0.6826  1 Ge 2.46, 3 Rh 2.55-2.61
Ge 0.6518 0.1569 0.8174  1 Ge 2.46, 3 Rh 2.55-2.61
Ge 0.3482 0.1569 0.8174  1 Ge 2.46, 3 Rh 2.55-2.61
Ge 0.0000 0.1286 0.1029  4 Rh 2.61-2.62, 3 Zr 2.77-2.89
Ge 0.0000 0.8714 0.8971  4 Rh 2.61-2.62, 3 Zr 2.77-2.89
Ge 0.5000 0.4477 0.8904  2 Rh 2.50, 1 Ge 2.52
Ge 0.3482 0.8431 0.1826  1 Ge 2.46, 3 Rh 2.55-2.61
Ge 0.5000 0.6390 0.4009  4 Rh 2.61-2.64, 2 Zr 2.80
Ge 0.0000 0.3714 0.6029  4 Rh 2.61-2.62, 3 Zr 2.77-2.89
Rh 0.7484 0.4051 0.7558  6 Ge 2.50-2.64
Rh 0.2528 0.0000 0.0000  6 Ge 2.55-2.61, 2 Rh 2.85
Rh 0.7484 0.5949 0.2442  6 Ge 2.50-2.64
Rh 0.7472 0.0000 0.0000  6 Ge 2.55-2.61, 2 Rh 2.85
Rh 0.7484 0.9051 0.7442  6 Ge 2.50-2.64
Rh 0.7484 0.0949 0.2558  6 Ge 2.50-2.64
Rh 0.2516 0.4051 0.7558  6 Ge 2.50-2.64
Rh 0.2516 0.5949 0.2442  6 Ge 2.50-2.64
Rh 0.2528 0.5000 0.5000  6 Ge 2.55-2.61, 2 Rh 2.85
Rh 0.7472 0.5000 0.5000  6 Ge 2.55-2.61, 2 Rh 2.85
Rh 0.2516 0.9051 0.7442  6 Ge 2.50-2.64
Rh 0.2516 0.0949 0.2558  6 Ge 2.50-2.64

## Properties
* total DFT energy (no corrections): -336.34 eV/cell
* symmetry: Pbam

***

No. 4
A relaxed structure of Ge3Ru2, computed with PBE.

Cell: 5.7838 9.3383 11.5769 Å, 90.00 90.00 90.00°
Closest atoms and distances in Å follow each position.
Fractional positions:
Ge 0.5980 0.1001 0.3642  4 Ru 2.42-2.57
Ge 0.0980 0.3999 0.1358  4 Ru 2.42-2.57
Ge 0.9020 0.1001 0.6358  4 Ru 2.42-2.57
Ge 0.4020 0.3999 0.8642  4 Ru 2.42-2.57
Ge 0.4020 0.8999 0.6358  4 Ru 2.42-2.57
Ge 0.9020 0.6001 0.8642  4 Ru 2.42-2.57
Ge 0.0980 0.8999 0.3642  4 Ru 2.42-2.57
Ge 0.5980 0.6001 0.1358  4 Ru 2.42-2.57
Ge 0.9129 0.0679 0.1729  4 Ru 2.45-2.69
Ge 0.4129 0.4321 0.3271  4 Ru 2.45-2.69
Ge 0.5871 0.0679 0.8271  4 Ru 2.45-2.69
Ge 0.0871 0.4321 0.6729  4 Ru 2.45-2.69
Ge 0.0871 0.9321 0.8271  4 Ru 2.45-2.69
Ge 0.5871 0.5679 0.6729  4 Ru 2.45-2.69
Ge 0.4129 0.9321 0.1729  4 Ru 2.45-2.69
Ge 0.9129 0.5679 0.3271  4 Ru 2.45-2.69
Ge 0.5365 0.7194 0.4263  4 Ru 2.45-2.59
Ge 0.0365 0.7806 0.0737  4 Ru 2.45-2.59
Ge 0.9635 0.7194 0.5737  4 Ru 2.45-2.59
Ge 0.4635 0.7806 0.9263  4 Ru 2.45-2.59
Ge 0.4635 0.2806 0.5737  4 Ru 2.45-2.59
Ge 0.9635 0.2194 0.9263  4 Ru 2.45-2.59
Ge 0.0365 0.2806 0.4263  4 Ru 2.45-2.59
Ge 0.5365 0.2194 0.0737  4 Ru 2.45-2.59
Ru 0.7500 0.9272 0.5000  6 Ge 2.42-2.57
Ru 0.2500 0.5728 0.0000  6 Ge 2.42-2.57
Ru 0.2500 0.0728 0.5000  6 Ge 2.42-2.57
Ru 0.7500 0.4272 0.0000  6 Ge 2.42-2.57
Ru 0.7500 0.4541 0.5000  4 Ge 2.45-2.47
Ru 0.2500 0.0459 0.0000  4 Ge 2.45-2.47
Ru 0.2500 0.5459 0.5000  4 Ge 2.45-2.47
Ru 0.7500 0.9541 0.0000  4 Ge 2.45-2.47
Ru 0.7588 0.3126 0.2532  7 Ge 2.45-2.69
Ru 0.2588 0.1874 0.2468  7 Ge 2.45-2.69
Ru 0.7412 0.3126 0.7468  7 Ge 2.45-2.69
Ru 0.2412 0.1874 0.7532  7 Ge 2.45-2.69
Ru 0.2412 0.6874 0.7468  7 Ge 2.45-2.69
Ru 0.7412 0.8126 0.7532  7 Ge 2.45-2.69
Ru 0.2588 0.6874 0.2532  7 Ge 2.45-2.69
Ru 0.7588 0.8126 0.2468  7 Ge 2.45-2.69

## Properties
* ΔE to the lowest computed polymorph: 0 meV/atom
* total DFT energy (no corrections): -273.45 eV/cell
* symmetry: Pbcn

***

No. 5
A relaxed structure of Ge3Ru2, computed with PBE.

Cell: 5.7869 5.7869 9.3546 Å, 90.00 90.00 90.00°
Closest atoms and distances in Å follow each position.
Fractional positions:
Ge 0.1746 0.1746 0.7500  3 Ru 2.44-2.66
Ge 0.8254 0.8254 0.7500  3 Ru 2.44-2.66
Ge 0.1746 0.8254 0.2500  3 Ru 2.44-2.66
Ge 0.8254 0.1746 0.2500  3 Ru 2.44-2.66
Ge 0.3475 0.2190 0.4151  4 Ru 2.41-2.61
Ge 0.6525 0.7810 0.4151  4 Ru 2.41-2.61
Ge 0.3475 0.7810 0.9151  4 Ru 2.41-2.61
Ge 0.6525 0.2190 0.9151  4 Ru 2.41-2.61
Ge 0.2190 0.6525 0.5849  4 Ru 2.41-2.61
Ge 0.7810 0.3475 0.5849  4 Ru 2.41-2.61
Ge 0.7810 0.6525 0.0849  4 Ru 2.41-2.61
Ge 0.2190 0.3475 0.0849  4 Ru 2.41-2.61
Ru 0.5000 0.5000 0.2500  6 Ge 2.41-2.66
Ru 0.5000 0.5000 0.7500  6 Ge 2.41-2.66
Ru 0.0000 0.0000 0.5000  8 Ge 2.51-2.74
Ru 0.0000 0.0000 0.0000  8 Ge 2.51-2.74
Ru 0.5000 0.0000 0.1236  6 Ge 2.44-2.61
Ru 0.5000 0.0000 0.6236  6 Ge 2.44-2.61
Ru 0.0000 0.5000 0.8764  6 Ge 2.44-2.61
Ru 0.0000 0.5000 0.3764  6 Ge 2.44-2.61

## Properties
* ΔE to the lowest computed polymorph: 3 meV/atom
* total DFT energy (no corrections): -136.67 eV/cell
* symmetry: P-4c2

***

No. 6
A relaxed structure of GeRu, computed with PBE.

Cell: 4.8968 4.8968 4.8968 Å, 90.00 90.00 90.00°
Closest atoms and distances in Å follow each position.
Fractional positions:
Ge 0.0862 0.0862 0.0862  4 Ru 2.47-2.50
Ge 0.4138 0.9138 0.5862  4 Ru 2.47-2.50
Ge 0.9138 0.5862 0.4138  4 Ru 2.47-2.50
Ge 0.5862 0.4138 0.9138  4 Ru 2.47-2.50
Ru 0.3779 0.3779 0.3779  4 Ge 2.47-2.50
Ru 0.1221 0.6221 0.8779  4 Ge 2.47-2.50
Ru 0.6221 0.8779 0.1221  4 Ge 2.47-2.50
Ru 0.8779 0.1221 0.6221  4 Ge 2.47-2.50

## Properties
* total DFT energy (no corrections): -57.85 eV/cell
* symmetry: P2_13

***

No. 7
A relaxed structure of ScGe2Ru, computed with PBE.

Cell: 8.1772 9.3722 10.4315 Å, 90.00 90.00 90.00°
Closest atoms and distances in Å follow each position.
Fractional positions:
Sc 0.2409 0.8243 0.4501  8 Ge 2.72-3.03
Sc 0.2409 0.1757 0.5499  8 Ge 2.72-3.03
Sc 0.7591 0.3243 0.0499  8 Ge 2.72-3.03
Sc 0.7591 0.6757 0.9501  8 Ge 2.72-3.03
Sc 0.7591 0.1757 0.5499  8 Ge 2.72-3.03
Sc 0.7591 0.8243 0.4501  8 Ge 2.72-3.03
Sc 0.2409 0.6757 0.9501  8 Ge 2.72-3.03
Sc 0.2409 0.3243 0.0499  8 Ge 2.72-3.03
Sc 0.0000 0.8355 0.1784  7 Ge 2.82-2.98, 4 Ru 3.14-3.15
Sc 0.0000 0.1645 0.8216  7 Ge 2.82-2.98, 4 Ru 3.14-3.15
Sc 0.0000 0.3355 0.3216  7 Ge 2.82-2.98, 4 Ru 3.14-3.15
Sc 0.0000 0.6645 0.6784  7 Ge 2.82-2.98, 4 Ru 3.14-3.15
Ge 0.3449 0.8392 0.1802  1 Ge 2.54, 3 Ru 2.54-2.61, 1 Sc 2.82
Ge 0.3449 0.1608 0.8198  1 Ge 2.54, 3 Ru 2.54-2.61, 1 Sc 2.82
Ge 0.6551 0.3392 0.3198  1 Ge 2.54, 3 Ru 2.54-2.61, 1 Sc 2.82
Ge 0.6551 0.6608 0.6802  1 Ge 2.54, 3 Ru 2.54-2.61, 1 Sc 2.82
Ge 0.6551 0.1608 0.8198  1 Ge 2.54, 3 Ru 2.54-2.61, 1 Sc 2.82
Ge 0.6551 0.8392 0.1802  1 Ge 2.54, 3 Ru 2.54-2.61, 1 Sc 2.82
Ge 0.3449 0.6608 0.6802  1 Ge 2.54, 3 Ru 2.54-2.61, 1 Sc 2.82
Ge 0.3449 0.3392 0.3198  1 Ge 2.54, 3 Ru 2.54-2.61, 1 Sc 2.82
Ge 0.5000 0.5373 0.1171  2 Ru 2.46, 1 Ge 2.54
Ge 0.5000 0.4627 0.8829  2 Ru 2.46, 1 Ge 2.54
Ge 0.5000 0.0373 0.3829  2 Ru 2.46, 1 Ge 2.54
Ge 0.5000 0.9627 0.6171  2 Ru 2.46, 1 Ge 2.54
Ge 0.0000 0.5367 0.1175  2 Ru 2.44, 1 Ge 2.55
Ge 0.0000 0.4633 0.8825  2 Ru 2.44, 1 Ge 2.55
Ge 0.0000 0.0367 0.3825  2 Ru 2.44, 1 Ge 2.55
Ge 0.0000 0.9633 0.6175  2 Ru 2.44, 1 Ge 2.55
Ge 0.5000 0.6303 0.4045  4 Ru 2.61-2.71, 2 Sc 2.83
Ge 0.5000 0.3697 0.5955  4 Ru 2.61-2.71, 2 Sc 2.83
Ge 0.5000 0.1303 0.0955  4 Ru 2.61-2.71, 2 Sc 2.83
Ge 0.5000 0.8697 0.9045  4 Ru 2.61-2.71, 2 Sc 2.83
Ge 0.0000 0.6327 0.3983  4 Ru 2.59-2.67, 3 Sc 2.72-2.90
Ge 0.0000 0.3673 0.6017  4 Ru 2.59-2.67, 3 Sc 2.72-2.90
Ge 0.0000 0.1327 0.1017  4 Ru 2.59-2.67, 3 Sc 2.72-2.90
Ge 0.0000 0.8673 0.8983  4 Ru 2.59-2.67, 3 Sc 2.72-2.90
Ru 0.2492 0.5889 0.2382  6 Ge 2.44-2.71
Ru 0.2492 0.4111 0.7618  6 Ge 2.44-2.71
Ru 0.7508 0.0889 0.2618  6 Ge 2.44-2.71
Ru 0.7508 0.9111 0.7382  6 Ge 2.44-2.71
Ru 0.7508 0.4111 0.7618  6 Ge 2.44-2.71
Ru 0.7508 0.5889 0.2382  6 Ge 2.44-2.71
Ru 0.2492 0.9111 0.7382  6 Ge 2.44-2.71
Ru 0.2492 0.0889 0.2618  6 Ge 2.44-2.71
Ru 0.2463 0.5000 0.5000  6 Ge 2.54-2.61
Ru 0.7537 0.0000 0.0000  6 Ge 2.54-2.61
Ru 0.7537 0.5000 0.5000  6 Ge 2.54-2.61
Ru 0.2463 0.0000 0.0000  6 Ge 2.54-2.61

## Properties
* total DFT energy (no corrections): -330.24 eV/cell
* symmetry: Pbam

***

No. 8
A relaxed structure of Sm3Ge2Ru2, computed with PBE.

Cell: 5.6853 7.9241 13.6269 Å, 90.00 90.00 90.00°
Closest atoms and distances in Å follow each position.
Fractional positions:
Sm 0.1519 0.4021 0.5988  4 Ru 2.87-3.15, 3 Ge 3.09-3.20
Sm 0.8481 0.5979 0.0988  4 Ru 2.87-3.15, 3 Ge 3.09-3.20
Sm 0.1519 0.0979 0.4012  4 Ru 2.87-3.15, 3 Ge 3.09-3.20
Sm 0.8481 0.9021 0.9012  4 Ru 2.87-3.15, 3 Ge 3.09-3.20
Sm 0.8481 0.5979 0.4012  4 Ru 2.87-3.15, 3 Ge 3.09-3.20
Sm 0.1519 0.4021 0.9012  4 Ru 2.87-3.15, 3 Ge 3.09-3.20
Sm 0.8481 0.9021 0.5988  4 Ru 2.87-3.15, 3 Ge 3.09-3.20
Sm 0.1519 0.0979 0.0988  4 Ru 2.87-3.15, 3 Ge 3.09-3.20
Sm 0.6309 0.2629 0.7500  4 Ru 3.04-3.25, 5 Ge 3.06-3.41
Sm 0.3691 0.7371 0.2500  4 Ru 3.04-3.25, 5 Ge 3.06-3.41
Sm 0.6309 0.2371 0.2500  4 Ru 3.04-3.25, 5 Ge 3.06-3.41
Sm 0.3691 0.7629 0.7500  4 Ru 3.04-3.25, 5 Ge 3.06-3.41
Ge 0.1350 0.1118 0.7500  2 Ru 2.58
Ge 0.8650 0.8882 0.2500  2 Ru 2.58
Ge 0.1350 0.3882 0.2500  2 Ru 2.58
Ge 0.8650 0.6118 0.7500  2 Ru 2.58
Ge 0.6173 0.2500 0.5000  4 Ru 2.56-2.60
Ge 0.3827 0.7500 0.0000  4 Ru 2.56-2.60
Ge 0.3827 0.7500 0.5000  4 Ru 2.56-2.60
Ge 0.6173 0.2500 0.0000  4 Ru 2.56-2.60
Ru 0.3525 0.0322 0.5907  3 Ge 2.56-2.60
Ru 0.6475 0.9678 0.0907  3 Ge 2.56-2.60
Ru 0.3525 0.4678 0.4093  3 Ge 2.56-2.60
Ru 0.6475 0.5322 0.9093  3 Ge 2.56-2.60
Ru 0.6475 0.9678 0.4093  3 Ge 2.56-2.60
Ru 0.3525 0.0322 0.9093  3 Ge 2.56-2.60
Ru 0.6475 0.5322 0.5907  3 Ge 2.56-2.60
Ru 0.3525 0.4678 0.0907  3 Ge 2.56-2.60

## Properties
* total DFT energy (no corrections): -186.10 eV/cell
* symmetry: Pbcm

***

| no. | ΔH_f (0 K) (meV/atom) |
| --- | --- |
| 1 | -927.3 |
| 2 | -932.3 |
| 3 | -717.5 |
| 4 | -352.8 |
| 5 | -350.1 |
| 6 | -282.8 |
| 7 | -666.8 |
| 8 | -653.5 |